Record 1
The following is a PBE+U calculation of a relaxed structure of Ba4Na2W2O11, from the Materials Project.

Cell: 6.007 6.007 8.710 Å, 90.00 90.00 91.14°
Fractional positions:
Ba  0.022  0.476  0.279
Ba  0.022  0.476  0.721
Ba  0.524  0.978  0.279
Ba  0.524  0.978  0.721
Na  0.516  0.484  0.500
Na  0.979  0.021  0.000
W  0.501  0.499  0.000
W  0.020  0.980  0.500
O  0.246  0.754  0.500
O  0.789  0.211  0.500
O  0.782  0.756  0.500
O  0.244  0.218  0.500
O  0.023  0.977  0.271
O  0.023  0.977  0.729
O  0.493  0.507  0.777
O  0.493  0.507  0.223
O  0.717  0.283  0.000
O  0.597  0.801  0.000
O  0.199  0.403  0.000

V (A^3/atom): 16.54
Crystal system: orthorhombic
Energy relative to the elements (kJ per mole of atoms): -262

Record 2
The following is a PBE+U calculation of a relaxed structure of Ce2MnSe2O2, from the Materials Project.

Cell: 3.992 3.992 9.285 Å, 90.00 90.00 90.00°
Fractional positions:
Ce  0.500  0.000  0.367
Ce  0.000  0.500  0.633
Mn  0.500  0.500  0.000
Se  0.500  0.000  0.819
Se  0.000  0.500  0.181
O  0.500  0.500  0.500
O  0.000  0.000  0.500

V (A^3/atom): 21.13
Crystal system: tetragonal
Energy relative to the elements (kJ per mole of atoms): -240

Record 3
The following is a PBE+U calculation of a relaxed structure of Sr3LaMn2O8, from the Materials Project.

Cell: 5.558 8.785 8.785 Å, 78.09 71.56 71.56°
Fractional positions:
Sr  0.359  0.144  0.144
Sr  0.354  0.644  0.644
Sr  0.639  0.359  0.359
Sr  0.645  0.858  0.858
Sr  0.143  0.606  0.106
Sr  0.143  0.106  0.606
La  0.860  0.389  0.890
La  0.860  0.890  0.389
Mn  0.500  0.749  0.248
Mn  0.500  0.247  0.749
Mn  0.007  0.999  0.999
Mn  0.997  0.499  0.498
O  0.155  0.341  0.341
O  0.161  0.843  0.843
O  0.668  0.582  0.081
O  0.668  0.081  0.582
O  0.338  0.408  0.910
O  0.338  0.910  0.408
O  0.848  0.161  0.161
O  0.834  0.661  0.661
O  0.743  0.374  0.632
O  0.768  0.882  0.126
O  0.248  0.127  0.877
O  0.233  0.628  0.378
O  0.768  0.126  0.882
O  0.743  0.632  0.374
O  0.233  0.378  0.628
O  0.248  0.877  0.127

Energy relative to the lowest polymorph listed for this composition (meV/atom): 3
V (A^3/atom): 13.69
Crystal system: monoclinic
Energy relative to the elements (kJ per mole of atoms): -279

- V of number 2 (Ce2MnSe2O2)?
  21.13 A^3/atom

What did the third record say?
The following is a PBE+U calculation of a relaxed structure of Sr3LaMn2O8, from the Materials Project.

Cell: 5.558 8.785 8.785 Å, 78.09 71.56 71.56°
Fractional positions:
Sr  0.359  0.144  0.144
Sr  0.354  0.644  0.644
Sr  0.639  0.359  0.359
Sr  0.645  0.858  0.858
Sr  0.143  0.606  0.106
Sr  0.143  0.106  0.606
La  0.860  0.389  0.890
La  0.860  0.890  0.389
Mn  0.500  0.749  0.248
Mn  0.500  0.247  0.749
Mn  0.007  0.999  0.999
Mn  0.997  0.499  0.498
O  0.155  0.341  0.341
O  0.161  0.843  0.843
O  0.668  0.582  0.081
O  0.668  0.081  0.582
O  0.338  0.408  0.910
O  0.338  0.910  0.408
O  0.848  0.161  0.161
O  0.834  0.661  0.661
O  0.743  0.374  0.632
O  0.768  0.882  0.126
O  0.248  0.127  0.877
O  0.233  0.628  0.378
O  0.768  0.126  0.882
O  0.743  0.632  0.374
O  0.233  0.378  0.628
O  0.248  0.877  0.127

Energy relative to the lowest polymorph listed for this composition (meV/atom): 3
V (A^3/atom): 13.69
Crystal system: monoclinic
Energy relative to the elements (kJ per mole of atoms): -279

- The lowest V belongs to which entry?
  Sr3LaMn2O8

- Which of these has the lowest energy relative to the elements?
  Sr3LaMn2O8